Entry 1:
First-principles (PBE) data for a relaxed KNaZnP2O7 crystal, as listed in Materials Project.

Geometry as extended XYZ:
```
48
Lattice="7.547 0.000 0.000 0.000 7.373 0.000 -7.537 0.000 12.772" Properties=species:S:1:pos:R:3 pbc="T T T"
K -0.753 1.529 1.315
K -4.522 2.158 7.701
K 4.531 5.216 5.071
K 0.762 5.844 11.457
Na -0.959 3.858 7.822
Na 2.810 7.202 1.436
Na -2.801 0.171 11.336
Na 0.968 3.516 4.950
Zn -1.273 0.146 7.934
Zn 2.495 3.541 1.548
Zn -2.486 3.832 11.224
Zn 1.282 7.228 4.838
P -1.315 1.581 5.121
P -5.084 2.105 11.507
P 0.189 5.299 2.590
P -3.580 5.761 8.976
P 3.589 1.612 3.796
P -0.180 2.075 10.182
P 5.093 5.268 1.265
P 1.324 5.792 7.650
O -1.447 5.186 2.555
O -5.215 5.874 8.941
O -3.115 4.722 7.980
O 0.654 6.338 1.594
O -1.732 0.414 6.038
O -5.501 3.273 12.423
O -5.164 0.722 12.115
O -1.395 2.965 5.730
O 0.700 3.859 2.329
O -3.069 7.201 8.715
O 0.067 1.351 4.460
O -3.701 2.336 10.846
O -3.319 5.434 10.464
O 0.450 5.626 4.078
O -0.441 1.747 8.693
O 3.328 1.939 2.308
O 3.711 5.037 1.925
O -0.058 6.023 8.311
O 3.078 0.172 4.057
O -0.691 3.514 10.443
O 1.405 4.408 7.042
O 5.173 6.652 0.656
O 5.510 4.100 0.348
O 1.742 6.960 6.734
O -0.645 1.036 11.178
O 3.124 2.651 4.792
O 5.224 1.499 3.831
O 1.456 2.188 10.216
```

Computed properties:
Its space group is P2_1/c (14). The MP2020-corrected energy comes out at -6.68 eV per atom.

Entry 2:
First-principles (PBE) data for a relaxed DyNi crystal, as listed in Materials Project.

Geometry as extended XYZ:
```
8
Lattice="7.033 0.000 0.000 0.000 4.169 0.000 0.000 0.000 5.423" Properties=species:S:1:pos:R:3 pbc="T T T"
Dy 1.268 1.042 0.726
Dy 2.248 3.127 3.437
Dy 4.785 1.042 1.985
Dy 5.765 3.127 4.697
Ni 0.262 1.042 3.401
Ni 3.255 3.127 0.689
Ni 3.779 1.042 4.733
Ni 6.771 3.127 2.022
```

Computed properties:
Its space group is Pnma (62).

Entry 3:
First-principles (PBE) data for a relaxed Zn3N2 crystal, as listed in Materials Project.

Geometry as extended XYZ:
```
20
Lattice="12.021 0.000 0.000 0.000 3.405 0.000 0.000 0.000 5.900" Properties=species:S:1:pos:R:3 pbc="T T T"
Zn 0.924 0.851 0.530
Zn 0.978 2.554 3.398
Zn 2.967 0.851 4.431
Zn 3.044 2.554 1.481
Zn 5.032 0.851 0.448
Zn 5.087 2.554 3.480
Zn 6.934 0.851 2.420
Zn 6.988 2.554 5.452
Zn 8.977 0.851 4.419
Zn 9.054 2.554 1.469
Zn 11.042 0.851 2.502
Zn 11.097 2.554 5.370
N 0.030 0.851 4.409
N 2.975 0.851 0.498
N 3.036 2.554 3.448
N 5.980 2.554 1.459
N 6.040 0.851 4.441
N 8.985 0.851 2.452
N 9.046 2.554 5.402
N 11.991 2.554 1.491
```

Computed properties:
Its energy above the most stable polymorph in this dataset is 0.010 eV/atom. Its space group is Pnma (62). The MP2020-corrected energy comes out at -4.11 eV per atom.

Entry 4:
First-principles (PBE) data for a relaxed USnRh2 crystal, as listed in Materials Project.

Geometry as extended XYZ:
```
16
Lattice="9.853 0.000 0.000 0.000 4.418 0.000 0.000 0.000 7.017" Properties=species:S:1:pos:R:3 pbc="T T T"
U 0.972 1.105 1.343
U 3.954 3.314 4.852
U 5.899 1.105 2.165
U 8.880 3.314 5.673
Sn 1.381 1.105 4.996
Sn 3.546 3.314 1.487
Sn 6.307 1.105 5.530
Sn 8.472 3.314 2.021
Rh 1.079 3.314 3.319
Rh 1.760 3.314 6.483
Rh 3.166 1.105 2.975
Rh 3.848 1.105 6.828
Rh 6.005 3.314 0.189
Rh 6.687 3.314 4.042
Rh 8.092 1.105 0.534
Rh 8.774 1.105 3.698
```

Computed properties:
Its space group is Pnma (62).

Entry 5:
First-principles (PBE) data for a relaxed CsSmO2 crystal, as listed in Materials Project.

Geometry as extended XYZ:
```
8
Lattice="3.653 0.000 0.000 -1.827 3.164 0.000 0.000 0.000 13.836" Properties=species:S:1:pos:R:3 pbc="T T T"
Cs 0.000 2.109 3.459
Cs 1.827 1.055 10.377
Sm 0.000 0.000 0.000
Sm 0.000 0.000 6.918
O 0.000 2.109 8.081
O 0.000 2.109 12.673
O 1.827 1.055 1.163
O 1.827 1.055 5.755
```

Computed properties:
Its space group is P6_3/mmc (194). The MP2020-corrected energy comes out at -6.77 eV per atom.

Entry 6:
First-principles (PBE) data for a relaxed TbSi2Au2 crystal, as listed in Materials Project.

Geometry as extended XYZ:
```
5
Lattice="-2.134 2.134 5.155 2.134 -2.134 5.155 2.134 2.134 -5.155" Properties=species:S:1:pos:R:3 pbc="T T T"
Tb 0.000 0.000 0.000
Si 0.000 0.000 4.005
Si 0.000 0.000 6.306
Au 2.134 0.000 2.578
Au 0.000 2.134 2.578
```

Computed properties:
Its space group is I4/mmm (139).

Entry 7:
First-principles (PBE) data for a relaxed CsH7O4 crystal, as listed in Materials Project.

Geometry as extended XYZ:
```
48
Lattice="8.772 0.000 0.000 0.000 6.082 0.000 -7.502 0.000 9.950" Properties=species:S:1:pos:R:3 pbc="T T T"
Cs -0.317 0.899 2.325
Cs -4.068 2.142 7.300
Cs 5.338 3.940 2.649
Cs 1.587 5.183 7.624
H -2.641 0.756 4.792
H -6.393 2.285 9.767
H 0.217 3.839 1.063
H -3.534 5.285 6.038
H 2.249 3.802 0.596
H -1.502 5.322 5.571
H -0.794 3.225 5.163
H 2.957 5.899 0.188
H 0.065 4.041 4.116
H -3.686 5.082 9.091
H -1.008 1.168 6.276
H 2.744 1.873 1.302
H 1.772 3.723 2.625
H -1.979 5.401 7.600
H 3.249 0.681 2.350
H -0.503 2.360 7.324
H -1.474 4.209 8.648
H 2.277 4.914 3.673
H 4.956 1.000 0.859
H 1.204 2.041 5.833
H -1.687 0.184 9.762
H 2.064 2.857 4.787
H 2.772 0.761 4.379
H -0.980 2.281 9.353
H 4.803 0.798 3.912
H 1.052 2.244 8.886
H 7.662 3.797 0.182
H 3.911 5.326 5.157
O -0.700 4.242 0.987
O -4.451 4.882 5.962
O -0.866 3.942 4.468
O -4.617 5.182 9.443
O 1.789 3.118 1.142
O -1.962 6.006 6.117
O 3.320 1.024 1.385
O -0.431 2.017 6.360
O 1.701 4.065 3.589
O -2.050 5.059 8.564
O 3.232 0.077 3.833
O -0.520 2.964 8.808
O 5.887 0.900 0.506
O 2.136 2.141 5.481
O 5.721 1.201 3.987
O 1.969 1.841 8.962
```

Computed properties:
Its space group is P2_1/c (14). The MP2020-corrected energy comes out at -5.08 eV per atom.

Entry 8:
First-principles (PBE) data for a relaxed LiV2S4 crystal, as listed in Materials Project.

Geometry as extended XYZ:
```
14
Lattice="-3.447 3.507 4.876 3.447 -3.507 4.876 3.447 3.507 -4.876" Properties=species:S:1:pos:R:3 pbc="T T T"
Li 0.000 0.000 0.000
Li 0.000 3.507 0.000
V 3.447 0.000 0.000
V -1.724 1.754 2.438
V 0.000 0.000 4.876
V 1.724 1.754 2.438
S 1.787 1.754 0.025
S 5.108 1.754 0.025
S 3.447 0.058 2.398
S 0.000 0.058 2.478
S 3.447 3.450 2.398
S 0.000 3.450 2.478
S -1.660 1.754 4.851
S 1.660 1.754 4.851
```

Computed properties:
Its energy above the most stable polymorph in this dataset is 0.000 eV/atom. Its space group is Imma (74). The MP2020-corrected energy comes out at -6.45 eV per atom.

| no. | formation enthalpy at 0 K (meV/atom) |
| --- | --- |
| 1 | -2586 |
| 2 | -454 |
| 3 | -22 |
| 4 | -536 |
| 5 | -2893 |
| 6 | -566 |
| 7 | -1379 |
| 8 | -1220 |